[1]
VASP calculation (PBE+U) on a relaxed Sr2V3O9 crystal.

abc: 9.097 9.097 7.069
angles: 77.83 77.83 130.17
Atoms (fractional coordinates):
O 0.712 0.518 0.024
O 0.558 0.109 0.220
O 0.482 0.288 0.477
O 0.109 0.558 0.720
O 0.720 0.000 0.989
O 0.288 0.482 0.977
O 0.288 0.715 0.253
O 0.183 0.145 0.280
V 0.033 0.525 0.471
O 0.443 0.893 0.776
O 0.715 0.288 0.753
V 0.341 0.660 0.750
Sr 0.452 0.550 0.249
O 0.855 0.817 0.220
Sr 0.550 0.452 0.749
V 0.080 0.922 0.249
V 0.525 0.033 0.971
Sr 0.125 0.873 0.750
O 0.145 0.183 0.780
O 0.518 0.712 0.524
O 0.003 0.281 0.508
V 0.922 0.080 0.749
Sr 0.873 0.125 0.250
O 0.893 0.443 0.276
O 0.817 0.855 0.720
O 0.000 0.720 0.489
O 0.281 0.003 0.008
V 0.660 0.341 0.250

Results
Formation energy ... -2817 meV per atom
SG ... No. 9
Calculated volume ... 13.821 A^3/atom

[2]
VASP calculation (PBE+U) on a relaxed Sr2V3O9 crystal.

abc: 16.482 7.055 7.395
angles: 64.00 90.00 90.00
Atoms (fractional coordinates):
V 0.160 0.250 0.000
O 0.098 0.362 0.115
V 0.340 0.250 0.500
O 0.481 0.557 0.164
O 0.518 0.056 0.164
O 0.224 0.053 0.168
O 0.019 0.557 0.664
O 0.713 0.246 0.501
O 0.981 0.443 0.336
O 0.139 0.650 0.358
Sr 0.126 0.249 0.501
V 0.660 0.750 0.500
O 0.140 0.848 0.640
O 0.776 0.947 0.832
O 0.361 0.650 0.858
V 0.254 0.750 0.720
O 0.640 0.152 0.860
V 0.079 0.750 0.499
O 0.482 0.944 0.836
O 0.902 0.638 0.885
O 0.725 0.555 0.669
O 0.982 0.056 0.664
Sr 0.049 0.750 0.999
Sr 0.451 0.750 0.499
O 0.225 0.445 0.831
O 0.775 0.555 0.169
O 0.287 0.754 0.499
O 0.360 0.848 0.140
O 0.097 0.139 0.886
O 0.639 0.350 0.142
Sr 0.951 0.250 0.001
O 0.276 0.053 0.668
O 0.724 0.947 0.332
Sr 0.549 0.250 0.501
V 0.754 0.250 0.780
Sr 0.374 0.249 0.001
V 0.246 0.750 0.220
O 0.598 0.638 0.385
O 0.018 0.944 0.336
O 0.861 0.350 0.642
O 0.275 0.445 0.331
Sr 0.874 0.751 0.499
O 0.597 0.861 0.614
O 0.403 0.139 0.386
V 0.840 0.750 0.000
Sr 0.626 0.751 0.999
V 0.921 0.250 0.501
O 0.519 0.443 0.836
V 0.579 0.250 0.001
O 0.903 0.861 0.114
O 0.787 0.246 0.001
O 0.402 0.362 0.615
O 0.860 0.152 0.360
V 0.421 0.750 0.999
O 0.213 0.754 0.999
V 0.746 0.250 0.280

Results
Formation energy ... -2817 meV per atom
Size of the total moment ... 1.000 μB/f.u.
SG ... No. 14
Calculated volume ... 13.801 A^3/atom